Compound: Sm3B13O29
Source: Materials Project
Functional: PBE
Structure: relaxed

```
Sm3B13O29
1.0
-3.894 5.103 -0.656
8.364 6.001 -2.969
-9.171 -10.542 -27.555
O B Sm
116 52 12
Direct
0.125 0.678 0.008
0.578 0.406 0.968
0.070 0.312 0.581
0.435 0.830 0.974
0.701 0.562 0.260
0.310 0.434 0.892
0.486 0.915 0.687
0.946 0.827 0.763
0.070 0.688 0.919
0.435 0.170 0.526
0.188 0.805 0.702
0.225 0.936 0.016
0.172 0.137 0.306
0.486 0.085 0.813
0.661 0.504 0.823
0.156 0.014 0.835
0.339 0.496 0.177
0.571 0.702 0.699
0.339 0.504 0.323
0.831 0.605 0.043
0.841 0.177 0.471
0.324 0.272 0.159
0.227 0.069 0.413
0.429 0.298 0.301
0.665 0.671 0.364
0.225 0.064 0.484
0.831 0.395 0.457
0.310 0.566 0.608
0.213 0.994 0.587
0.665 0.329 0.136
0.565 0.830 0.474
0.661 0.496 0.677
0.324 0.728 0.341
0.125 0.322 0.492
0.054 0.173 0.237
0.172 0.863 0.194
0.787 0.994 0.087
0.844 0.986 0.165
0.435 0.114 0.642
0.382 0.875 0.258
0.578 0.594 0.532
0.930 0.312 0.081
0.274 0.606 0.397
0.690 0.434 0.392
0.188 0.195 0.798
0.565 0.170 0.026
0.828 0.137 0.806
0.422 0.594 0.032
0.565 0.886 0.358
0.797 0.649 0.970
0.065 0.350 0.299
0.226 0.265 0.414
0.169 0.605 0.543
0.213 0.006 0.913
0.773 0.069 0.913
0.068 0.168 0.636
0.740 0.218 0.400
0.726 0.394 0.603
0.335 0.671 0.864
0.299 0.562 0.760
0.203 0.649 0.470
0.260 0.782 0.600
0.156 0.986 0.665
0.274 0.394 0.103
0.159 0.823 0.529
0.875 0.678 0.508
0.875 0.322 0.992
0.935 0.650 0.701
0.054 0.827 0.263
0.844 0.014 0.335
0.773 0.931 0.587
0.203 0.351 0.030
0.068 0.832 0.864
0.514 0.915 0.187
0.006 0.393 0.158
0.159 0.177 0.971
0.812 0.195 0.298
0.797 0.351 0.530
0.571 0.298 0.801
0.690 0.566 0.108
0.787 0.006 0.413
0.841 0.823 0.029
0.422 0.406 0.468
0.946 0.173 0.737
0.726 0.606 0.897
0.935 0.350 0.799
0.740 0.782 0.100
0.775 0.064 0.984
0.435 0.886 0.858
0.514 0.085 0.313
0.299 0.438 0.740
0.932 0.832 0.364
0.169 0.395 0.957
0.676 0.728 0.841
0.994 0.607 0.842
0.618 0.125 0.742
0.065 0.650 0.201
0.382 0.125 0.242
0.774 0.265 0.914
0.774 0.735 0.586
0.812 0.805 0.202
0.335 0.329 0.636
0.260 0.218 0.900
0.226 0.735 0.086
0.565 0.114 0.142
0.994 0.393 0.658
0.006 0.607 0.342
0.618 0.875 0.758
0.676 0.272 0.659
0.429 0.702 0.199
0.932 0.168 0.136
0.227 0.931 0.087
0.775 0.936 0.516
0.828 0.863 0.694
0.701 0.438 0.240
0.930 0.688 0.419
0.890 0.295 0.128
0.110 0.705 0.872
0.127 0.350 0.071
0.873 0.350 0.571
0.257 0.672 0.044
0.247 0.654 0.584
0.753 0.654 0.084
0.896 0.692 0.013
0.777 0.935 0.368
0.228 0.609 0.350
0.228 0.391 0.150
0.726 0.098 0.317
0.247 0.346 0.916
0.772 0.609 0.850
0.726 0.902 0.183
0.110 0.295 0.628
0.523 0.240 0.145
0.477 0.240 0.645
0.620 0.160 0.790
0.753 0.346 0.416
0.791 0.132 0.428
0.269 0.615 0.192
0.777 0.065 0.132
0.380 0.840 0.210
0.209 0.132 0.928
0.743 0.672 0.544
0.209 0.868 0.572
0.257 0.328 0.456
0.791 0.868 0.072
0.976 0.793 0.716
0.024 0.793 0.216
0.976 0.207 0.784
0.274 0.902 0.683
0.024 0.207 0.284
0.731 0.385 0.808
0.620 0.840 0.710
0.477 0.760 0.855
0.223 0.935 0.868
0.772 0.391 0.650
0.274 0.098 0.817
0.890 0.705 0.372
0.127 0.650 0.429
0.104 0.308 0.987
0.380 0.160 0.290
0.896 0.308 0.487
0.731 0.615 0.692
0.223 0.065 0.632
0.873 0.650 0.929
0.523 0.760 0.355
0.104 0.692 0.513
0.743 0.328 0.956
0.269 0.385 0.308
0.207 0.064 0.173
0.271 0.444 0.820
0.729 0.556 0.180
0.271 0.556 0.680
0.595 0.405 0.047
0.405 0.595 0.953
0.793 0.064 0.673
0.729 0.444 0.320
0.207 0.936 0.327
0.793 0.936 0.827
0.595 0.595 0.453
0.405 0.405 0.547
```

Output
Magnetic moment = 9.0 μB per formula unit
Mass density = 3.334 g/cm3
Calculated volume = 2102.72 Å³ per cell
MP2020-corrected energy = -345.8 eV/f.u.
E_form = -2.25 eV per atom